[1]
This record from Materials Project describes an optimized crystal structure of Sm3Bi14Te24. The functional is PBE.

extended XYZ file:
```
41
Lattice="-3.282 7.361 1.849 -1.333 -1.633 -8.147 -15.736 -11.895 7.691" Properties=species:S:1:pos:R:3 pbc="T T T"
Te -5.111 -0.092 -1.064
Te -12.425 -7.816 -1.190
Te -9.327 -0.194 -1.744
Te -10.080 -2.854 1.676
Te -13.801 -8.626 6.438
Te -16.798 -7.419 8.077
Te -17.609 -9.984 4.168
Te -7.090 -0.431 2.189
Te -13.184 -1.570 3.388
Te -15.018 -4.535 5.742
Te -6.177 2.973 -2.762
Te -5.569 3.884 1.060
Te -10.820 -3.754 -2.211
Te -13.332 -6.038 2.659
Te -14.376 -9.646 2.370
Te -8.003 -6.022 -0.959
Te -5.475 -4.053 1.286
Te -1.050 0.113 -0.284
Te -17.442 -5.956 1.996
Te -9.157 -5.955 3.617
Te -6.222 -3.063 -3.105
Te -14.047 -4.147 -0.361
Te -4.312 0.045 -5.662
Te -3.481 5.517 -2.346
Bi -10.742 -5.571 0.342
Bi -17.855 -4.130 7.110
Bi -11.356 -8.230 4.192
Bi -7.396 0.247 -4.024
Bi -4.095 3.243 -5.187
Bi -15.304 -3.480 2.396
Bi -7.793 -2.500 -0.373
Bi -8.411 -5.076 -3.872
Bi -4.241 -1.262 1.557
Bi -12.196 -1.531 -0.136
Bi -11.454 -4.091 4.638
Bi -3.076 -1.579 -3.025
Bi -15.746 -7.287 4.429
Bi -7.858 1.960 0.127
Sm -16.704 -11.509 1.295
Sm -15.235 -7.446 0.252
Sm -3.348 2.523 -0.776
```

Output
Magnetic moment ... 0.0 μB/f.u.
VASP energy ... -3.837 eV/atom
ΔE_f ... -0.570 eV/atom



[2]
This record from Materials Project describes an optimized crystal structure of GdV2Fe10N. The functional is PBE.

extended XYZ file:
```
14
Lattice="0.000 0.000 4.757 -4.289 4.263 2.378 -4.289 -4.263 -2.378" Properties=species:S:1:pos:R:3 pbc="T T T"
Fe -4.289 1.194 2.378
Fe -2.145 -2.132 -1.189
Fe -2.145 2.132 1.189
Fe -1.921 0.000 2.378
Fe -4.289 -1.194 2.378
Fe -6.658 0.000 2.378
Fe -4.289 2.345 4.757
Fe -2.145 -2.132 1.189
Fe -2.145 2.132 3.568
Fe -4.289 -2.345 0.000
N 0.000 0.000 2.378
Gd 0.000 0.000 0.000
V -3.078 0.000 0.000
V -5.500 0.000 0.000
```

Output
Magnetic moment ... 24.8 μB/f.u.
VASP energy ... -9.087 eV/atom
ΔE_f ... -0.164 eV/atom



[3]
This record from Materials Project describes an optimized crystal structure of MgRe2Sb2O12. The functional is PBE.

extended XYZ file:
```
17
Lattice="-4.146 2.341 -1.967 -3.182 -3.803 2.271 -0.576 4.168 6.174" Properties=species:S:1:pos:R:3 pbc="T T T"
O -3.839 -0.045 3.718
O -6.539 2.687 6.037
O -3.612 -1.691 1.279
O -5.437 1.072 1.029
O -5.104 0.287 6.111
O -1.715 1.627 2.871
O -4.350 4.518 5.033
O -4.132 2.943 2.700
O -1.477 -0.096 0.319
O -6.325 1.138 3.742
O -2.611 2.310 0.457
O -2.285 1.678 5.436
Re -2.333 3.210 2.086
Re -2.051 1.172 -0.932
Sb -5.769 0.398 -0.772
Sb -6.052 2.450 2.267
Mg -4.718 5.166 2.853
```

Output
Magnetic moment ... 0.1 μB/f.u.
VASP energy ... -7.033 eV/atom
ΔE_f ... -1.981 eV/atom



[4]
This record from Materials Project describes an optimized crystal structure of ZrMn6Al6. The functional is PBE.

extended XYZ file:
```
13
Lattice="-0.489 4.410 2.417 4.355 4.425 -1.911 -3.451 -0.264 -5.497" Properties=species:S:1:pos:R:3 pbc="T T T"
Al 0.598 2.754 -4.903
Al 2.549 6.578 -0.923
Al 0.306 1.407 -2.506
Al 1.503 4.329 -2.313
Al -1.088 4.242 -2.678
Al -2.134 1.994 -4.069
Mn 1.933 4.418 0.253
Mn 2.178 2.213 -0.956
Mn -0.028 3.204 -0.570
Mn -1.970 2.073 -1.540
Mn -1.726 -0.132 -2.749
Mn 0.442 5.367 -4.422
Zr 0.000 0.000 0.000
```

Output
Magnetic moment ... 7.6 μB/f.u.
VASP energy ... -6.885 eV/atom
ΔE_f ... -0.270 eV/atom



[5]
This record from Materials Project describes an optimized crystal structure of V. The functional is PBE.

extended XYZ file:
```
2
Lattice="-1.880 0.717 1.653 1.236 -2.267 0.338 3.209 2.153 2.716" Properties=species:S:1:pos:R:3 pbc="T T T"
V 0.763 0.799 2.573
V 0.000 0.000 0.000
```

Output
Magnetic moment ... 0.0 μB/f.u.
Relative energy among the computed polymorphs ... 254 meV per atom
VASP energy ... -8.830 eV/atom
ΔE_f ... 0.254 eV/atom



[6]
This record from Materials Project describes an optimized crystal structure of LiPr2Ga. The functional is PBE.

extended XYZ file:
```
4
Lattice="0.000 3.760 3.760 3.760 0.000 3.760 3.760 3.760 0.000" Properties=species:S:1:pos:R:3 pbc="T T T"
Ga 3.760 3.760 3.760
Pr 1.880 1.880 1.880
Pr 5.640 5.640 5.640
Li 0.000 0.000 0.000
```

Output
VASP energy ... -3.916 eV/atom
ΔE_f ... -0.291 eV/atom



Please write out number 3 again, unchanged.
This record from Materials Project describes an optimized crystal structure of MgRe2Sb2O12. The functional is PBE.

extended XYZ file:
```
17
Lattice="-4.146 2.341 -1.967 -3.182 -3.803 2.271 -0.576 4.168 6.174" Properties=species:S:1:pos:R:3 pbc="T T T"
O -3.839 -0.045 3.718
O -6.539 2.687 6.037
O -3.612 -1.691 1.279
O -5.437 1.072 1.029
O -5.104 0.287 6.111
O -1.715 1.627 2.871
O -4.350 4.518 5.033
O -4.132 2.943 2.700
O -1.477 -0.096 0.319
O -6.325 1.138 3.742
O -2.611 2.310 0.457
O -2.285 1.678 5.436
Re -2.333 3.210 2.086
Re -2.051 1.172 -0.932
Sb -5.769 0.398 -0.772
Sb -6.052 2.450 2.267
Mg -4.718 5.166 2.853
```

Output
Magnetic moment ... 0.1 μB/f.u.
VASP energy ... -7.033 eV/atom
ΔE_f ... -1.981 eV/atom